Compound: Li4Cu2C4SO16
Source: the Materials Project database
Functional: PBE-GGA
Structure: relaxed

The space group is Fddd (No. 70, origin choice 2) and the conventional cell measures 12.883, 13.187 and 13.681 Å, with angles of 90.00, 90.00 and 90.00 degrees. Symmetry generates all atoms from Li at (0.087, 0.375, 0.375), Li at (0.125, 0.339, 0.125), Cu at (0.000, 0.000, 0.500), C at (0.028, 0.030, 0.718), S at (0.125, 0.125, 0.125), O at (0.018, 0.098, 0.784), O at (0.034, 0.279, 0.894), O at (0.056, 0.058, 0.066) and O at (0.100, 0.289, 0.524).

The size of the total moment is 4.00 μB per formula unit.

***

Compound: Li6Cu2C4SO16
Source: the Materials Project database
Functional: PBE-GGA
Structure: relaxed

The space group is Fd-3 (No. 203, origin choice 2) and the conventional cell measures 13.226, 13.226 and 13.226 Å, with angles of 90.00, 90.00 and 90.00 degrees. Symmetry generates all atoms from Li at (0.095, 0.375, 0.375), Cu at (0.000, 0.000, 0.500), C at (0.026, 0.026, 0.724), S at (0.125, 0.125, 0.125), O at (0.020, 0.291, 0.597) and O at (0.060, 0.060, 0.060).

The size of the total moment is 2.00 μB per formula unit.

***

Compound: Sr4LiCuC2O10
Source: the Materials Project database
Functional: PBE-GGA
Structure: relaxed

The space group is I-42m (No. 121) and the conventional cell measures 5.577, 5.577 and 14.831 Å, with angles of 90.00, 90.00 and 90.00 degrees. Symmetry generates all atoms from Sr at (0.000, 0.500, 0.113), Li at (0.000, 0.000, 0.000), Cu at (0.000, 0.000, 0.500), C at (0.000, 0.000, 0.237), O at (0.000, 0.000, 0.148), O at (0.144, 0.144, 0.721) and O at (0.235, 0.235, 0.498).

The size of the total moment is 0.01 μB per formula unit. The calculation puts the largest piezoelectric modulus at 2.1 C/m².

***

Across the entries above, total energy after the MP2020 corrections takes the values -6.801, -6.739, -7.011 eV/atom, respectively.
Across the entries above, E_tot takes the values -6.3941, -6.3603, -6.6295 eV per atom, respectively.
Across the entries above, ΔE_f takes the values -1.76, -1.92, -2.53 eV per atom, respectively.